Below is an optimized crystal structure of RbBa2I5, with properties calculated at the PBE-GGA level.

Results
Uncorrected energy = -0.242 Ry per atom
Symmetry = P2_1/c (14)
Energy relative to the elements = -1.978 eV/atom

```
RbBa2I5
1.0
-1.745 6.929 6.249
-6.549 -6.419 5.290
11.518 -4.764 8.499
Rb I Ba
4 20 8
direct
0.979 0.493 0.679
0.021 0.507 0.321
0.479 0.507 0.821
0.521 0.493 0.179
0.333 0.220 0.316
0.197 0.769 0.781
0.042 0.779 0.503
0.542 0.221 0.997
0.165 0.458 0.091
0.167 0.220 0.816
0.667 0.780 0.684
0.833 0.780 0.184
0.803 0.231 0.219
0.164 0.045 0.098
0.336 0.045 0.598
0.958 0.221 0.497
0.836 0.955 0.902
0.458 0.779 0.003
0.835 0.542 0.909
0.697 0.231 0.719
0.335 0.458 0.591
0.664 0.955 0.402
0.303 0.769 0.281
0.665 0.542 0.409
0.525 0.000 0.180
0.078 0.751 0.008
0.422 0.751 0.508
0.975 0.000 0.680
0.475 0.000 0.820
0.578 0.249 0.492
0.025 0.000 0.320
0.922 0.249 0.992
```